[1]
Compound: Sr5U5O19
Source: Materials Project
Functional: meta-GGA r2SCAN
Structure: optimized geometry

Geometry as POSCAR:
```
Sr5U5O19
1.0
-1.2694 -3.0088 -5.9923
-2.3132 -4.8678 5.5127
-6.7473 5.4932 -0.0865
Sr O U
5 19 5
Direct
0.9977 0.4991 0.9943
0.8038 0.1055 0.6047
0.2015 0.9017 0.3894
0.3843 0.2942 0.7966
0.6100 0.7038 0.2062
0.6321 0.3878 0.0671
0.3393 0.0419 0.9635
0.9301 0.4186 0.4688
0.6570 0.9605 0.0412
0.9606 0.7988 0.1191
0.1613 0.1964 0.5200
0.0774 0.7289 0.7827
0.2567 0.1480 0.2252
0.7290 0.4034 0.7301
0.3979 0.5721 0.6161
0.5744 0.0261 0.3350
0.0338 0.1987 0.8709
0.8544 0.7956 0.4737
0.9369 0.2544 0.1791
0.2468 0.5952 0.2786
0.5461 0.4326 0.3688
0.7398 0.8398 0.7780
0.4318 0.9769 0.6646
0.3704 0.6135 0.9395
0.5957 0.1984 0.1919
0.4123 0.8075 0.8131
0.7818 0.5999 0.6021
0.2035 0.3859 0.3890
0.9978 0.0022 0.9990
```

***

[2]
Compound: Li7Mn4P8O28
Source: Materials Project
Functional: meta-GGA r2SCAN
Structure: optimized geometry

Geometry as POSCAR:
```
Li7Mn4P8O28
1.0
-1.7473 9.4709 -1.2746
-9.2581 -2.0195 -2.3145
-5.1541 0.3791 9.8820
Mn O Li P
8 56 14 16
Direct
0.1711 0.2097 0.3196
0.5365 0.7568 0.1748
0.3256 0.7955 0.6743
0.0345 0.7362 0.8325
0.8289 0.7097 0.3196
0.9655 0.2362 0.8325
0.6744 0.2955 0.6743
0.4635 0.2568 0.1748
0.8324 0.3879 0.2938
0.5799 0.3314 0.3141
0.3950 0.6108 0.1442
0.8157 0.2800 0.5165
0.1554 0.5910 0.2280
0.6523 0.9002 0.7790
0.1176 0.7194 0.0073
0.9555 0.8213 0.4186
0.3388 0.0844 0.2703
0.0926 0.0327 0.4421
0.6050 0.1108 0.1442
0.8824 0.2194 0.0073
0.5424 0.1845 0.5823
0.1676 0.8879 0.2938
0.3293 0.1135 0.7041
0.3990 0.2730 0.9982
0.0991 0.3896 0.8435
0.8276 0.9835 0.6217
0.9271 0.6846 0.1689
0.3148 0.2242 0.4807
0.1843 0.7800 0.5165
0.9243 0.6650 0.6843
0.9074 0.5327 0.4421
0.2948 0.3715 0.2236
0.5843 0.3224 0.8403
0.0757 0.1650 0.6843
0.0171 0.4801 0.0838
0.7052 0.8715 0.2236
0.6010 0.7730 0.9982
0.9829 0.9801 0.0838
0.8385 0.4126 0.7269
0.0445 0.3213 0.4186
0.1615 0.9126 0.7269
0.3458 0.5255 0.3724
0.6852 0.7242 0.4807
0.4086 0.9726 0.5550
0.6542 0.0255 0.3724
0.4201 0.8314 0.3141
0.3477 0.4002 0.7790
0.6707 0.6135 0.7041
0.8446 0.0910 0.2280
0.6833 0.4343 0.1099
0.7856 0.1238 0.7842
0.0729 0.1846 0.1689
0.9009 0.8896 0.8435
0.4157 0.8224 0.8403
0.6612 0.5844 0.2703
0.5248 0.0235 0.9191
0.4752 0.5235 0.9191
0.4576 0.6845 0.5823
0.3167 0.9343 0.1099
0.5914 0.4726 0.5550
0.1724 0.4835 0.6217
0.8189 0.5623 0.8877
0.2144 0.6238 0.7842
0.1811 0.0623 0.8877
0.4729 0.3858 0.4486
0.5271 0.8858 0.4486
0.3264 0.6713 0.4536
0.8279 0.8276 0.5488
0.8619 0.4110 0.0287
0.6593 0.1538 0.9586
0.6462 0.5870 0.9724
0.1381 0.9110 0.0287
0.9679 0.1171 0.5481
0.6736 0.1713 0.4536
0.3538 0.0870 0.9724
0.0321 0.6171 0.5481
0.1721 0.3276 0.5488
0.3407 0.6538 0.9586
0.5995 0.6214 0.5736
0.0440 0.6167 0.1154
0.0982 0.8832 0.4242
0.2009 0.4748 0.7562
0.9560 0.1167 0.1154
0.1799 0.0579 0.7545
0.3172 0.9396 0.2430
0.4576 0.3822 0.8899
0.6828 0.4396 0.2430
0.3031 0.5236 0.2433
0.8201 0.5579 0.7545
0.6969 0.0236 0.2433
0.7991 0.9748 0.7562
0.5424 0.8822 0.8899
0.4005 0.1214 0.5736
0.9018 0.3832 0.4242
```

***

[3]
Compound: NaNiO2
Source: Materials Project
Functional: meta-GGA r2SCAN
Structure: optimized geometry

Geometry as POSCAR:
```
NaNiO2
1.0
3.0028 0.1062 0.0000
0.1786 4.9938 0.0000
0.0000 0.0002 10.4618
Ni O Na
4 8 4
Direct
0.0000 0.0000 0.5000
0.5000 0.5000 0.5000
0.0000 0.0000 0.0000
0.5000 0.5000 0.0000
0.5370 0.1795 0.5978
0.0370 0.6795 0.5978
0.5370 0.1795 0.9022
0.4630 0.8205 0.4022
0.9630 0.3205 0.0978
0.9630 0.3205 0.4022
0.4630 0.8205 0.0978
0.0370 0.6795 0.9022
0.4764 0.1560 0.2500
0.9764 0.6560 0.2500
0.5236 0.8440 0.7500
0.0236 0.3440 0.7500
```

***

[4]
Compound: Ca2CdGa
Source: Materials Project
Functional: meta-GGA r2SCAN
Structure: optimized geometry

Geometry as POSCAR:
```
Ca2CdGa
1.0
0.3416 -3.4416 3.9828
-4.3660 -1.5759 2.5058
-1.7610 -4.9335 -0.6191
Ca Cd Ga
2 1 1
Direct
0.7500 0.7500 0.7500
0.2500 0.2500 0.2500
0.5000 0.5000 0.5000
0.0000 0.0000 0.0000
```

***

[5]
Compound: DyCo2B2
Source: Materials Project
Functional: meta-GGA r2SCAN
Structure: optimized geometry

Geometry as POSCAR:
```
DyCo2B2
1.0
-3.2537 -1.3651 0.0055
-0.0878 0.1952 -3.5220
3.4795 -3.7273 1.4742
Co Dy B
2 1 2
Direct
0.7500 0.2500 0.5000
0.2500 0.7500 0.5000
0.0000 0.0000 0.0000
0.3461 0.3461 0.6923
0.6539 0.6539 0.3077
```

***

[6]
Compound: Pr2MoO6
Source: Materials Project
Functional: meta-GGA r2SCAN
Structure: optimized geometry

Geometry as POSCAR:
```
Pr2MoO6
1.0
5.7590 8.4350 0.0017
-5.7590 8.4350 0.0017
0.0000 1.7297 5.3044
Mo O Pr
4 24 8
Direct
0.5096 0.7967 0.5606
0.4904 0.2033 0.4394
0.7967 0.5096 0.0606
0.2033 0.4904 0.9394
0.7855 0.6740 0.1378
0.8269 0.3871 0.3558
0.6181 0.5451 0.0202
0.5263 0.9279 0.2730
0.3260 0.2145 0.3622
0.0770 0.1090 0.4208
0.4549 0.3819 0.4798
0.9230 0.8910 0.5792
0.1641 0.6845 0.0851
0.8910 0.9230 0.0792
0.0721 0.4737 0.2270
0.6129 0.1731 0.1442
0.3155 0.8359 0.4149
0.1090 0.0770 0.9208
0.2145 0.3260 0.8622
0.4737 0.0721 0.7270
0.3819 0.4549 0.9798
0.1731 0.6129 0.6442
0.8359 0.3155 0.9149
0.9279 0.5263 0.7730
0.3871 0.8269 0.8558
0.6740 0.7855 0.6378
0.5451 0.6181 0.5202
0.6845 0.1641 0.5851
0.1113 0.8887 0.7500
0.9444 0.7107 0.3830
0.2893 0.0556 0.1170
0.7107 0.9444 0.8830
0.3681 0.6319 0.2500
0.6319 0.3681 0.7500
0.0556 0.2893 0.6170
0.8887 0.1113 0.2500
```

***

[7]
Compound: Al2O3
Source: Materials Project
Functional: meta-GGA r2SCAN
Structure: optimized geometry

Geometry as POSCAR:
```
Al2O3
1.0
-4.4377 4.4377 4.4377
4.4377 -4.4377 4.4377
4.4377 4.4377 -4.4377
Al O
16 24
Direct
0.4622 0.2500 0.7122
0.2500 0.2122 0.9622
0.2500 0.7122 0.4622
0.7500 0.2878 0.5378
0.0000 0.5000 0.0000
0.7122 0.4622 0.2500
0.2878 0.5378 0.7500
0.0000 0.0000 0.5000
0.2122 0.9622 0.2500
0.7500 0.7878 0.0378
0.0378 0.7500 0.7878
0.7878 0.0378 0.7500
0.5378 0.7500 0.2878
0.9622 0.2500 0.2122
0.5000 0.5000 0.5000
0.5000 0.0000 0.0000
0.2293 0.9541 0.5029
0.4541 0.2248 0.4512
0.9971 0.9512 0.7265
0.2248 0.4512 0.4541
0.7707 0.0459 0.4971
0.2707 0.7735 0.7248
0.7265 0.9971 0.9512
0.5029 0.2293 0.9541
0.7293 0.2265 0.2752
0.4971 0.7707 0.0459
0.2265 0.2752 0.7293
0.9512 0.7265 0.9971
0.4512 0.4541 0.2248
0.2752 0.7293 0.2265
0.0488 0.2735 0.0029
0.5459 0.7752 0.5488
0.7248 0.2707 0.7735
0.5488 0.5459 0.7752
0.7735 0.7248 0.2707
0.9541 0.5029 0.2293
0.7752 0.5488 0.5459
0.2735 0.0029 0.0488
0.0029 0.0488 0.2735
0.0459 0.4971 0.7707
```

***

[8]
Compound: Li2AlPd
Source: Materials Project
Functional: meta-GGA r2SCAN
Structure: optimized geometry

Geometry as POSCAR:
```
Li2AlPd
1.0
-3.8374 -1.6326 -0.9570
-1.2274 -3.7246 1.7110
-3.0892 -0.0801 2.9592
Li Pd Al
2 1 1
Direct
0.2500 0.2500 0.2500
0.5000 0.5000 0.5000
0.7500 0.7500 0.7500
0.0000 0.0000 0.0000
```

***

[9]
Compound: InI2Br
Source: Materials Project
Functional: meta-GGA r2SCAN
Structure: optimized geometry

Geometry as POSCAR:
```
InI2Br
1.0
7.1341 0.0040 0.0259
-3.5582 6.3016 -0.0083
-3.5172 -2.0588 7.0631
Br I In
2 4 2
Direct
0.0613 0.4034 0.0916
0.6880 0.6556 0.0923
0.4252 0.8803 0.6369
0.0978 0.2191 0.6326
0.7556 0.5391 0.6317
0.4365 0.0369 0.1188
0.5856 0.2932 0.8727
0.2490 0.6217 0.8718
```

***

[10]
Compound: Eu2SnS4
Source: Materials Project
Functional: meta-GGA r2SCAN
Structure: optimized geometry

Geometry as POSCAR:
```
Eu2SnS4
1.0
-5.9493 -0.1659 -4.1419
0.0033 -8.1404 0.3211
-6.6033 0.3708 9.4698
Eu S Sn
8 16 4
Direct
0.4086 0.0000 0.1820
0.0914 0.0000 0.6820
0.5914 0.0000 0.8180
0.9086 0.0000 0.3180
0.9086 0.5000 0.3180
0.5914 0.5000 0.8180
0.0914 0.5000 0.6820
0.4086 0.5000 0.1820
0.7313 0.5000 0.5536
0.3730 0.2500 0.7045
0.2313 0.0000 0.9464
0.3731 0.7500 0.7045
0.7313 0.0000 0.5536
0.7687 0.0000 0.0536
0.1269 0.7500 0.2045
0.2313 0.5000 0.9464
0.7687 0.5000 0.0536
0.2687 0.5000 0.4464
0.2687 0.0000 0.4464
0.1270 0.2500 0.2045
0.6269 0.2500 0.2955
0.8731 0.2500 0.7955
0.6270 0.7500 0.2955
0.8730 0.7500 0.7955
0.0004 0.7500 0.9999
0.5004 0.2500 0.5001
0.4996 0.7500 0.4999
0.9996 0.2500 0.0001
```

***

[11]
Compound: KNi4P3O12
Source: Materials Project
Functional: meta-GGA r2SCAN
Structure: optimized geometry

Geometry as POSCAR:
```
KNi4P3O12
1.0
-5.6308 -0.7371 2.3055
2.5862 -8.3312 3.6528
4.6098 7.4054 13.6260
O Ni P K
48 16 12 4
Direct
0.5000 0.1121 0.7482
0.7092 0.3925 0.8173
0.7092 0.6075 0.1827
0.5000 0.8665 0.5459
0.0000 0.3665 0.9541
0.7015 0.0876 0.8833
0.7015 0.9124 0.1167
0.0000 0.3771 0.6738
0.2015 0.5876 0.6167
0.1988 0.3416 0.0907
0.2908 0.6075 0.1827
0.0000 0.6229 0.3262
0.5000 0.3904 0.6890
0.3012 0.1584 0.5907
0.5000 0.6350 0.4798
0.2015 0.4124 0.3833
0.0000 0.6335 0.0459
0.8012 0.6584 0.9093
0.6988 0.8416 0.4093
0.2985 0.0876 0.8833
0.5000 0.6096 0.3110
0.5000 0.6146 0.7742
0.2908 0.3925 0.8173
0.7985 0.5876 0.6167
0.5000 0.3854 0.2258
0.1988 0.6584 0.9093
0.0000 0.1146 0.7258
0.5000 0.8771 0.8262
0.0000 0.1350 0.0202
0.0000 0.6121 0.7518
0.7908 0.8925 0.6827
0.5000 0.3650 0.5202
0.5000 0.1335 0.4541
0.0000 0.8854 0.2742
0.2985 0.9124 0.1167
0.2092 0.8925 0.6827
0.3012 0.8416 0.4093
0.5000 0.8879 0.2518
0.7985 0.4124 0.3833
0.0000 0.3879 0.2482
0.0000 0.1096 0.1890
0.0000 0.8650 0.9798
0.2092 0.1075 0.3173
0.0000 0.8904 0.8110
0.8012 0.3416 0.0907
0.6988 0.1584 0.5907
0.5000 0.1229 0.1738
0.7908 0.1075 0.3173
0.0000 0.4894 0.8572
0.2494 0.2484 0.7043
0.0000 0.5106 0.1428
0.7506 0.2484 0.7043
0.2506 0.7484 0.7957
0.0000 0.9665 0.0926
0.7506 0.7516 0.2957
0.2506 0.2516 0.2043
0.7494 0.7484 0.7957
0.5000 0.9894 0.6428
0.0000 0.0335 0.9074
0.5000 0.5335 0.5926
0.7494 0.2516 0.2043
0.5000 0.0106 0.3572
0.2494 0.7516 0.2957
0.5000 0.4665 0.4074
0.0000 0.0471 0.2797
0.5000 0.7951 0.4635
0.5000 0.0395 0.8379
0.0000 0.2951 0.0365
0.0000 0.4605 0.3379
0.5000 0.2049 0.5365
0.5000 0.9605 0.1621
0.0000 0.9529 0.7203
0.0000 0.7049 0.9635
0.5000 0.5471 0.2203
0.0000 0.5395 0.6621
0.5000 0.4529 0.7797
0.5000 0.7017 0.0323
0.0000 0.7983 0.5323
0.0000 0.2017 0.4677
0.5000 0.2983 0.9677
```

***

no.,VASP energy (eV/atom)
1,-23.853
2,-9.160
3,-8.287
4,-11.838
5,-15.171
6,-16.551
7,-9.591
8,-9.148
9,-21.992
10,-20.760
11,-9.628